# 1
Density functional theory data (PBE with a Hubbard U) for a geometry-optimized Li2Mn3OF6 structure.

Output
The calculation puts the MP2020-corrected energy at -81.235 eV/f.u. The value obtained for the formation energy is -2.791 eV per atom. The calculation puts the energy at -72.77 eV per formula unit. As for the space group: P1, No. 1.

a b c (Å): 5.161 10.833 12.102
angles (deg): 116.21 101.03 90.05
Fractional positions:
Li 0.000 0.000 0.000
Li 0.004 0.320 0.284
Li 0.297 0.290 0.590
Li 0.306 0.224 0.793
Li 0.367 0.494 0.999
Li 0.625 0.826 0.291
Li 0.657 0.772 0.570
Li 0.843 0.725 0.786
Mn 0.003 0.666 0.137
Mn 0.150 0.010 0.311
Mn 0.175 0.783 0.425
Mn 0.234 0.590 0.569
Mn 0.310 0.951 0.761
Mn 0.442 0.802 0.989
Mn 0.512 0.162 0.124
Mn 0.553 0.499 0.290
Mn 0.656 0.286 0.443
Mn 0.710 0.094 0.579
Mn 0.837 0.460 0.783
Mn 0.882 0.312 0.009
O 0.261 0.818 0.282
O 0.396 0.628 0.440
O 0.432 0.144 0.460
O 0.732 0.336 0.161
F 0.025 0.779 0.594
F 0.034 0.574 0.710
F 0.042 0.074 0.708
F 0.098 0.360 0.875
F 0.133 0.864 0.867
F 0.143 0.159 0.003
F 0.200 0.645 0.986
F 0.231 0.489 0.133
F 0.266 0.993 0.131
F 0.364 0.304 0.293
F 0.480 0.938 0.592
F 0.485 0.445 0.593
F 0.541 0.780 0.715
F 0.543 0.294 0.731
F 0.560 0.143 0.869
F 0.647 0.976 0.994
F 0.664 0.651 0.869
F 0.723 0.492 0.997
F 0.729 0.819 0.145
F 0.798 0.663 0.287
F 0.856 0.152 0.288
F 0.891 0.953 0.432
F 0.902 0.442 0.436
F 0.948 0.285 0.608

---

# 2
Density functional theory data (PBE with a Hubbard U) for a geometry-optimized Li4MnO2F3 structure.

Output
The largest piezoelectric modulus comes out at 0.775 C/m2. The calculation puts the MP2020-corrected energy at -59.106 eV/f.u. The value obtained for the formation energy is -2.667 eV per atom. The calculation puts the energy at -54.68 eV per formula unit. The energy above the most stable polymorph in this dataset is 15 meV per atom.

a b c (Å): 3.943 5.131 19.692
angles (deg): 87.23 89.99 67.41
Fractional positions:
F 0.600 0.797 0.152
Li 0.114 0.766 0.157
F 0.098 0.797 0.901
Li 0.197 0.601 0.794
F 0.889 0.218 0.100
F 0.677 0.642 0.804
Mn 0.983 0.029 0.999
F 0.889 0.218 0.600
F 0.177 0.642 0.054
F 0.389 0.218 0.350
F 0.600 0.797 0.652
F 0.098 0.798 0.401
Li 0.806 0.383 0.693
Li 0.898 0.199 0.354
Li 0.614 0.766 0.907
F 0.177 0.642 0.554
Mn 0.483 0.029 0.749
Li 0.698 0.600 0.544
Li 0.806 0.383 0.193
Mn 0.983 0.028 0.499
O 0.309 0.378 0.703
Li 0.898 0.199 0.854
O 0.999 0.997 0.751
O 0.498 0.997 0.001
Li 0.197 0.601 0.293
F 0.677 0.642 0.304
O 0.309 0.378 0.203
Li 0.306 0.383 0.443
Li 0.615 0.766 0.407
Li 0.697 0.601 0.044
F 0.389 0.218 0.850
Li 0.306 0.383 0.943
Mn 0.483 0.029 0.249
Li 0.114 0.766 0.657
Li 0.398 0.199 0.104
O 0.499 0.997 0.501
Li 0.398 0.199 0.604
O 0.000 0.997 0.251
O 0.809 0.378 0.953
O 0.809 0.377 0.453

---

What is the formula in the second record? Li4MnO2F3

---

Which of these has the highest MP2020-corrected energy? Li4MnO2F3